# 1
## Na7CaNb3Si6O24 (PBE-GGA)

Data for an optimized crystal structure of Na7CaNb3Si6O24.

a = 9.214 Å, b = 9.214 Å, c = 22.644 Å
α = 90.00°, β = 90.00°, γ = 120.00°
Positions (direct):
Na  0.000  0.000  0.076
Na  0.000  0.000  0.589
Na  0.051  0.349  0.164
Na  0.298  0.949  0.164
Na  0.311  0.289  0.000
Na  0.316  0.038  0.503
Na  0.333  0.667  0.251
Na  0.333  0.667  0.755
Na  0.356  0.004  0.842
Na  0.358  0.354  0.342
Na  0.646  0.003  0.342
Na  0.648  0.644  0.842
Na  0.651  0.702  0.164
Na  0.667  0.333  0.426
Na  0.667  0.333  0.922
Na  0.711  0.022  0.000
Na  0.722  0.684  0.503
Na  0.962  0.278  0.503
Na  0.978  0.689  0.000
Na  0.996  0.352  0.842
Na  0.997  0.642  0.342
Ca  0.000  0.000  0.442
Ca  0.000  0.000  0.933
Ca  0.333  0.667  0.110
Nb  0.000  0.000  0.237
Nb  0.000  0.000  0.735
Nb  0.333  0.667  0.404
Nb  0.333  0.667  0.615
Nb  0.333  0.667  0.906
Nb  0.667  0.333  0.067
Nb  0.667  0.333  0.275
Nb  0.667  0.333  0.571
Nb  0.667  0.333  0.771
Si  0.034  0.371  0.010
Si  0.042  0.658  0.510
Si  0.299  0.001  0.341
Si  0.301  0.300  0.839
Si  0.336  0.966  0.010
Si  0.342  0.384  0.510
Si  0.370  0.041  0.672
Si  0.372  0.323  0.174
Si  0.616  0.958  0.510
Si  0.629  0.664  0.010
Si  0.671  0.630  0.672
Si  0.677  0.049  0.174
Si  0.700  0.001  0.839
Si  0.702  0.701  0.341
Si  0.951  0.628  0.174
Si  0.959  0.329  0.672
Si  0.999  0.298  0.341
Si  0.999  0.699  0.839
O  0.002  0.185  0.001
O  0.025  0.823  0.509
O  0.028  0.195  0.286
O  0.029  0.836  0.786
O  0.132  0.647  0.179
O  0.134  0.443  0.070
O  0.138  0.639  0.448
O  0.141  0.499  0.951
O  0.145  0.497  0.667
O  0.161  0.669  0.565
O  0.164  0.193  0.786
O  0.167  0.972  0.286
O  0.174  0.690  0.844
O  0.176  0.481  0.345
O  0.177  0.202  0.509
O  0.182  0.998  0.001
O  0.186  0.026  0.680
O  0.188  0.147  0.180
O  0.244  0.056  0.400
O  0.254  0.195  0.899
O  0.305  0.824  0.345
O  0.309  0.866  0.070
O  0.310  0.485  0.844
O  0.331  0.492  0.565
O  0.352  0.855  0.667
O  0.353  0.485  0.179
O  0.358  0.859  0.951
O  0.361  0.499  0.448
O  0.468  0.301  0.115
O  0.470  0.163  0.614
O  0.484  0.327  0.231
O  0.490  0.140  0.728
O  0.493  0.154  0.330
O  0.494  0.337  0.825
O  0.501  0.642  0.951
O  0.501  0.862  0.448
O  0.503  0.648  0.667
O  0.508  0.839  0.565
O  0.515  0.826  0.844
O  0.515  0.868  0.179
O  0.518  0.376  0.511
O  0.519  0.695  0.345
O  0.522  0.146  0.010
O  0.557  0.691  0.070
O  0.624  0.142  0.511
O  0.624  0.478  0.010
O  0.650  0.510  0.728
O  0.660  0.507  0.330
O  0.663  0.157  0.825
O  0.673  0.158  0.231
O  0.693  0.530  0.614
O  0.699  0.167  0.115
O  0.798  0.975  0.509
O  0.805  0.058  0.899
O  0.805  0.833  0.286
O  0.807  0.971  0.786
O  0.812  0.756  0.400
O  0.815  0.818  0.001
O  0.833  0.532  0.115
O  0.837  0.307  0.614
O  0.840  0.814  0.680
O  0.842  0.516  0.231
O  0.843  0.506  0.825
O  0.846  0.340  0.330
O  0.853  0.041  0.180
O  0.854  0.376  0.010
O  0.858  0.482  0.511
O  0.860  0.350  0.728
O  0.942  0.746  0.899
O  0.944  0.188  0.400
O  0.959  0.812  0.180
O  0.974  0.160  0.680

# 2
## PrPt (PBE-GGA)

Data for an optimized crystal structure of PrPt.

a = 7.375 Å, b = 4.677 Å, c = 5.751 Å
α = 90.00°, β = 90.00°, γ = 90.00°
Positions (direct):
Pr  0.181  0.250  0.136
Pr  0.319  0.750  0.636
Pr  0.681  0.250  0.364
Pr  0.819  0.750  0.864
Pt  0.044  0.250  0.650
Pt  0.456  0.750  0.150
Pt  0.544  0.250  0.850
Pt  0.956  0.750  0.350

# 3
## GaS (PBE-GGA)

Data for an optimized crystal structure of GaS.

a = 8.949 Å, b = 8.949 Å, c = 8.949 Å
α = 23.45°, β = 23.45°, γ = 23.45°
Positions (direct):
Ga  0.047  0.047  0.047
Ga  0.953  0.953  0.953
S  0.245  0.245  0.245
S  0.755  0.755  0.755

# 4
## Gd3Si2S8Br (PBE-GGA)

Data for an optimized crystal structure of Gd3Si2S8Br.

a = 8.743 Å, b = 8.743 Å, c = 10.862 Å
α = 98.46°, β = 98.46°, γ = 51.46°
Positions (direct):
Gd  0.129  0.871  0.750
Gd  0.177  0.425  0.319
Gd  0.425  0.177  0.819
Gd  0.575  0.823  0.181
Gd  0.823  0.575  0.681
Gd  0.871  0.129  0.250
Si  0.121  0.194  0.024
Si  0.194  0.121  0.524
Si  0.806  0.879  0.476
Si  0.879  0.806  0.976
S  0.050  0.240  0.830
S  0.100  0.766  0.465
S  0.114  0.602  0.859
S  0.217  0.349  0.587
S  0.234  0.900  0.035
S  0.240  0.050  0.330
S  0.349  0.217  0.087
S  0.398  0.886  0.641
S  0.602  0.114  0.359
S  0.651  0.783  0.913
S  0.760  0.950  0.670
S  0.766  0.100  0.965
S  0.783  0.651  0.413
S  0.886  0.398  0.141
S  0.900  0.234  0.535
S  0.950  0.760  0.170
Br  0.486  0.514  0.250
Br  0.514  0.486  0.750

| no. | volume (Å³ per cell) | calculated total energy (eV per cell) | ΔH_f (0 K) (eV per atom) |
| --- | --- | --- | --- |
| 1 | 1665.0 | -887.83 | -2.916 |
| 2 | 198.4 | -52.30 | -1.111 |
| 3 | 99.7 | -16.91 | -0.897 |
| 4 | 640.7 | -216.32 | -1.779 |